Material: RbBi3S5
Method: DFT, PBE
State: optimized geometry

Properties
total magnetization: 0.0 μB/f.u.
E above lowest polymorph: 19 meV per atom

abc: 4.2280 12.7281 19.0536
angles: 90.00 90.00 90.00
Atoms (fractional coordinates):
1 Rb 0.0000 0.3980 0.1489
2 Rb 0.0000 0.6020 0.8511
3 Rb 0.5000 0.8980 0.3511
4 Rb 0.5000 0.1020 0.6489
5 Bi 0.0000 0.0509 0.1507
6 Bi 0.0000 0.9491 0.8493
7 Bi 0.5000 0.5509 0.3493
8 Bi 0.5000 0.4491 0.6507
9 Bi 0.0000 0.2740 0.8144
10 Bi 0.0000 0.7260 0.1856
11 Bi 0.5000 0.7740 0.6856
12 Bi 0.5000 0.2260 0.3144
13 Bi 0.0000 0.3308 0.4781
14 Bi 0.0000 0.6692 0.5219
15 Bi 0.5000 0.8308 0.0219
16 Bi 0.5000 0.1692 0.9781
17 S 0.0000 0.6766 0.0458
18 S 0.0000 0.3234 0.9542
19 S 0.5000 0.1766 0.4542
20 S 0.5000 0.8234 0.5458
21 S 0.0000 0.3085 0.6285
22 S 0.0000 0.6915 0.3715
23 S 0.5000 0.8085 0.8715
24 S 0.5000 0.1915 0.1285
25 S 0.0000 0.3894 0.3326
26 S 0.0000 0.6106 0.6674
27 S 0.5000 0.8894 0.1674
28 S 0.5000 0.1106 0.8326
29 S 0.0000 0.0891 0.2931
30 S 0.0000 0.9109 0.7069
31 S 0.5000 0.5891 0.2069
32 S 0.5000 0.4109 0.7931
33 S 0.0000 0.0000 0.0000
34 S 0.5000 0.5000 0.5000
35 S 0.5000 0.0000 0.5000
36 S 0.0000 0.5000 0.0000